Entry 1:
Computed, not measured: CdH3Cl3O after structural relaxation at the GGA-PBE level of DFT.

- final energy (Ry/atom) = -0.2646
- calculated formation energy (eV per atom) = -0.99

Lattice parameters (Å, degrees): 8.492 4.075 15.748 90.00 90.00 90.00
Space group Pnma (No. 62)
Symmetry-distinct sites (fractional):
Cd  0.174  0.250  0.053 (multiplicity 4)
H  0.010  0.047  0.688 (multiplicity 8)
H  0.167  0.750  0.318 (multiplicity 4)
Cl  0.022  0.250  0.896 (multiplicity 4)
Cl  0.170  0.250  0.496 (multiplicity 4)
Cl  0.177  0.750  0.711 (multiplicity 4)
O  0.053  0.750  0.332 (multiplicity 4)

Entry 2:
Computed, not measured: Zr3Fe8Si after structural relaxation at the GGA-PBE level of DFT.

- final energy (Ry/atom) = -0.6236
- calculated formation energy (eV per atom) = -0.24

Lattice parameters (Å, degrees): 4.9215 4.9215 23.9915 90.00 90.00 120.00
Space group R3m (No. 160, hexagonal axes)
Symmetry-distinct sites (fractional):
Zr  0.0000  0.0000  0.0000 (multiplicity 3)
Zr  0.0000  0.0000  0.1279 (multiplicity 3)
Zr  0.0000  0.0000  0.6205 (multiplicity 3)
Fe  0.0000  0.0000  0.3124 (multiplicity 3)
Fe  0.0000  0.0000  0.8126 (multiplicity 3)
Fe  0.0002  0.5001  0.5612 (multiplicity 9)
Fe  0.0019  0.5010  0.0635 (multiplicity 9)
Si  0.0000  0.0000  0.4981 (multiplicity 3)

Entry 3:
Computed, not measured: Cr2SeS after structural relaxation at the GGA-PBE level of DFT.

- final energy (Ry/atom) = -0.5209
- calculated formation energy (eV per atom) = -0.48

Lattice parameters (Å, degrees): 3.6586 3.6586 6.0521 90.00 90.00 120.00
Space group P-6m2 (No. 187)
Symmetry-distinct sites (fractional):
Cr  0.0000  0.0000  0.2407 (multiplicity 2)
Se  0.3333  0.6667  0.5000 (multiplicity 1)
S  0.6667  0.3333  0.0000 (multiplicity 1)

Entry 4:
Computed, not measured: LaNi3Rh2 after structural relaxation at the GGA-PBE level of DFT.

- final energy (Ry/atom) = -0.4738
- calculated formation energy (eV per atom) = -0.28

Lattice parameters (Å, degrees): 5.0773 5.0773 4.2046 90.00 90.00 120.00
Space group P6/mmm (No. 191)
Symmetry-distinct sites (fractional):
La  0.0000  0.0000  0.0000 (multiplicity 1)
Ni  0.0000  0.5000  0.5000 (multiplicity 3)
Rh  0.3333  0.6667  0.0000 (multiplicity 2)

Entry 5:
Computed, not measured: Er2Al3Si2 after structural relaxation at the GGA-PBE level of DFT.

- final energy (Ry/atom) = -0.3673
- calculated formation energy (eV per atom) = -0.52

Lattice parameters (Å, degrees): 10.140 4.009 6.601 90.00 100.95 90.00
Space group C2/m (No. 12)
Symmetry-distinct sites (fractional):
Er  0.119  0.000  0.323 (multiplicity 4)
Al  0.000  0.500  0.000 (multiplicity 2)
Al  0.195  0.000  0.867 (multiplicity 4)
Si  0.094  0.500  0.640 (multiplicity 4)

Entry 6:
Computed, not measured: AlSb after structural relaxation at the GGA-PBE level of DFT.

- final energy (Ry/atom) = -0.2925
- calculated formation energy (eV per atom) = -0.14

Lattice parameters (Å, degrees): 7.613 7.613 7.613 90.00 90.00 90.00
Space group Pa-3 (No. 205)
Symmetry-distinct sites (fractional):
Al  0.157  0.157  0.157 (multiplicity 8)
Sb  0.141  0.641  0.859 (multiplicity 8)

Entry 7:
Computed, not measured: Hg4I7 after structural relaxation at the GGA-PBE level of DFT.

- final energy (Ry/atom) = -0.0960
- calculated formation energy (eV per atom) = -0.47

Lattice parameters (Å, degrees): 9.513 9.513 6.584 90.00 90.00 90.00
Space group P-4m2 (No. 115)
Symmetry-distinct sites (fractional):
Hg  0.000  0.272  0.230 (multiplicity 4)
I  0.000  0.000  0.500 (multiplicity 1)
I  0.000  0.500  0.519 (multiplicity 2)
I  0.256  0.256  0.000 (multiplicity 4)

Entry 8:
Computed, not measured: Cs after structural relaxation at the GGA-PBE level of DFT.

- final energy (Ry/atom) = -0.0632
- calculated formation energy (eV per atom) = 0.04

Lattice parameters (Å, degrees): 5.5123 5.5123 8.8941 90.00 90.00 120.00
Space group P6_3/mmc (No. 194)
Symmetry-distinct sites (fractional):
Cs  0.3333  0.6667  0.2500 (multiplicity 2)

Entry 9:
Computed, not measured: Ce3Co4Sn13 after structural relaxation at the GGA-PBE level of DFT.

- final energy (Ry/atom) = -0.3872
- calculated formation energy (eV per atom) = -0.35

Lattice parameters (Å, degrees): 9.608 9.608 9.608 90.00 90.00 90.00
Space group Pm-3n (No. 223)
Symmetry-distinct sites (fractional):
Ce  0.000  0.250  0.500 (multiplicity 6)
Co  0.250  0.250  0.250 (multiplicity 8)
Sn  0.000  0.000  0.000 (multiplicity 2)
Sn  0.000  0.302  0.157 (multiplicity 24)

Entry 10:
Computed, not measured: Sr2GeO4 after structural relaxation at the GGA-PBE level of DFT.

- final energy (Ry/atom) = -0.4770
- calculated formation energy (eV per atom) = -2.91

Lattice parameters (Å, degrees): 5.918 7.295 11.260 90.00 117.11 90.00
Space group P2_1/c (No. 14)
Symmetry-distinct sites (fractional):
Sr  0.020  0.005  0.300 (multiplicity 4)
Sr  0.298  0.655  0.569 (multiplicity 4)
Ge  0.349  0.216  0.584 (multiplicity 4)
O  0.143  0.174  0.140 (multiplicity 4)
O  0.271  0.166  0.930 (multiplicity 4)
O  0.274  0.518  0.057 (multiplicity 4)
O  0.325  0.748  0.803 (multiplicity 4)

Entry 11:
Computed, not measured: UNi5 after structural relaxation at the GGA-PBE level of DFT.

- final energy (Ry/atom) = -0.5117
- calculated formation energy (eV per atom) = -0.26

Lattice parameters (Å, degrees): 6.762 6.762 6.762 90.00 90.00 90.00
Space group F-43m (No. 216)
Symmetry-distinct sites (fractional):
U  0.000  0.000  0.000 (multiplicity 4)
Ni  0.124  0.124  0.376 (multiplicity 16)
Ni  0.250  0.250  0.750 (multiplicity 4)

Entry 12:
Computed, not measured: TbHf after structural relaxation at the GGA-PBE level of DFT.

- final energy (Ry/atom) = -0.5234
- calculated formation energy (eV per atom) = 0.17

Lattice parameters (Å, degrees): 3.3781 3.3781 5.3839 90.00 90.00 120.00
Space group P-6m2 (No. 187)
Symmetry-distinct sites (fractional):
Tb  0.0000  0.0000  0.0000 (multiplicity 1)
Hf  0.3333  0.6667  0.5000 (multiplicity 1)

> Which of these has the highest calculated formation energy?

TbHf

> What is the formula in the eighth record?

Cs

> calculated formation energy of number 12 (TbHf)?

0.17 eV per atom

> What is the calculated formation energy in the sixth record?

-0.14 eV per atom